1.
A plane-wave DFT calculation with GGA-PBE was carried out for SmHgPd after structural relaxation.

The structure in POSCAR format:
```
SmHgPd
1.0
7.789 0.000 0.000
-3.895 6.746 0.000
0.000 0.000 3.918
Sm Hg Pd
3 3 3
direct
0.000 0.599 0.000
0.401 0.401 0.000
0.599 0.000 0.000
0.000 0.265 0.500
0.265 0.000 0.500
0.735 0.735 0.500
0.000 0.000 0.000
0.333 0.667 0.500
0.667 0.333 0.500
```

Computed properties:
For the formation energy from the elements, the calculation gives -694 meV/atom. For the uncorrected energy, the calculation gives -36.85 eV/cell.



2.
A plane-wave DFT calculation with GGA-PBE was carried out for Pm3Hg after structural relaxation.

The structure in POSCAR format:
```
Pm3Hg
1.0
-2.395 2.395 5.157
2.395 -2.395 5.157
2.395 2.395 -5.157
Pm Hg
3 1
direct
0.000 0.000 0.000
0.250 0.750 0.500
0.750 0.250 0.500
0.500 0.500 0.000
```

Computed properties:
The calculation puts the total moment at 0.0 μB per formula unit. For the formation energy from the elements, the calculation gives -152 meV/atom. For the uncorrected energy, the calculation gives -15.16 eV/cell. As for the distance to the lowest polymorph of the same formula: 5 meV/atom.



3.
A plane-wave DFT calculation with GGA-PBE was carried out for Pm3Hg after structural relaxation.

The structure in POSCAR format:
```
Pm3Hg
1.0
7.071 0.000 0.000
-3.535 6.123 0.000
0.000 0.000 5.541
Pm Hg
6 2
direct
0.175 0.350 0.250
0.175 0.825 0.250
0.350 0.175 0.750
0.650 0.825 0.250
0.825 0.175 0.750
0.825 0.650 0.750
0.333 0.667 0.750
0.667 0.333 0.250
```

Computed properties:
For the formation energy from the elements, the calculation gives -156 meV/atom. For the uncorrected energy, the calculation gives -30.36 eV/cell. As for the distance to the lowest polymorph of the same formula: 0 meV/atom.



4.
A plane-wave DFT calculation with GGA-PBE was carried out for PmPrHg2 after structural relaxation.

The structure in POSCAR format:
```
PmPrHg2
1.0
0.000 3.839 3.839
3.839 0.000 3.839
3.839 3.839 0.000
Pm Pr Hg
1 1 2
direct
0.000 0.000 0.000
0.500 0.500 0.500
0.250 0.250 0.250
0.750 0.750 0.750
```

Computed properties:
For the formation energy from the elements, the calculation gives -472 meV/atom. For the uncorrected energy, the calculation gives -12.03 eV/cell.